(1)
# La18Ni12O41

A geometry-optimized La18Ni12O41 structure (PBE with a Hubbard U, the Materials Project).

Unit cell a=12.3177 b=20.2006 c=7.7894 alpha=90.00 beta=107.44 gamma=90.00
Space group Cm (No. 8)
Symmetry-distinct sites (fractional):
La (0.0000, 0.0000, 0.0000) (multiplicity 2)
La (0.0020, 0.0000, 0.5313) (multiplicity 2)
La (0.1506, 0.5000, 0.3584) (multiplicity 2)
La (0.1555, 0.3208, 0.3351) (multiplicity 4)
La (0.1562, 0.5000, 0.8323) (multiplicity 2)
La (0.1623, 0.3198, 0.8491) (multiplicity 4)
La (0.3200, 0.1800, 0.6655) (multiplicity 4)
La (0.3226, 0.0000, 0.1693) (multiplicity 2)
La (0.3266, 0.0000, 0.6720) (multiplicity 2)
La (0.3288, 0.1787, 0.1846) (multiplicity 4)
La (0.4860, 0.3208, 0.0008) (multiplicity 4)
La (0.4939, 0.3211, 0.5150) (multiplicity 4)
Ni (0.1555, 0.0963, 0.3393) (multiplicity 4)
Ni (0.1596, 0.0990, 0.8424) (multiplicity 4)
Ni (0.3235, 0.4029, 0.1738) (multiplicity 4)
Ni (0.3229, 0.4033, 0.6734) (multiplicity 4)
Ni (0.4905, 0.0991, 0.5095) (multiplicity 4)
Ni (0.4916, 0.0969, 0.0069) (multiplicity 4)
O (0.0124, 0.5000, 0.5448) (multiplicity 2)
O (0.0136, 0.2946, 0.0438) (multiplicity 4)
O (0.1405, 0.2048, 0.8047) (multiplicity 4)
O (0.1427, 0.0000, 0.2989) (multiplicity 2)
O (0.1562, 0.1089, 0.0958) (multiplicity 4)
O (0.1562, 0.3892, 0.5908) (multiplicity 4)
O (0.1578, 0.0856, 0.5863) (multiplicity 4)
O (0.1595, 0.4173, 0.0943) (multiplicity 4)
O (0.1678, 0.2049, 0.3759) (multiplicity 4)
O (0.1770, 0.0000, 0.8824) (multiplicity 2)
O (0.2969, 0.5000, 0.6309) (multiplicity 2)
O (0.3093, 0.2929, 0.1397) (multiplicity 4)
O (0.3221, 0.0891, 0.4232) (multiplicity 4)
O (0.3244, 0.3971, 0.4148) (multiplicity 4)
O (0.3264, 0.4174, 0.9355) (multiplicity 4)
O (0.3295, 0.1109, 0.9272) (multiplicity 4)
O (0.3426, 0.2952, 0.7070) (multiplicity 4)
O (0.4623, 0.0000, 0.9586) (multiplicity 2)
O (0.4723, 0.2055, 0.4774) (multiplicity 4)
O (0.4870, 0.4010, 0.2574) (multiplicity 4)
O (0.4895, 0.0878, 0.2451) (multiplicity 4)
O (0.4916, 0.4129, 0.7566) (multiplicity 4)
O (0.4934, 0.1089, 0.7717) (multiplicity 4)

Values from the calculation:
Its formation energy is -2.824 eV/atom. Its crystal system is monoclinic. The energy above the most stable polymorph in this dataset comes out at 0.000 eV per atom. The value obtained for the electronic total energy is -7.083 eV per atom.

---

(2)
# KCeVWO6

A geometry-optimized KCeVWO6 structure (PBE with a Hubbard U, the Materials Project).

Unit cell a=8.0226 b=8.0226 c=8.0226 alpha=90.00 beta=90.00 gamma=90.00
Space group F-43m (No. 216)
Symmetry-distinct sites (fractional):
K (0.0000, 0.0000, 0.0000) (multiplicity 4)
Ce (0.0000, 0.0000, 0.5000) (multiplicity 4)
V (0.2500, 0.2500, 0.2500) (multiplicity 4)
W (0.2500, 0.2500, 0.7500) (multiplicity 4)
O (0.0074, 0.2500, 0.7500) (multiplicity 24)

Values from the calculation:
Its formation energy is -2.572 eV/atom. Its crystal system is cubic. The value obtained for the electronic total energy is -7.423 eV per atom.

---

(3)
# Li4FeOF5

A geometry-optimized Li4FeOF5 structure (PBE with a Hubbard U, the Materials Project).

Unit cell a=5.8182 b=10.1050 c=13.2704 alpha=90.00 beta=90.04 gamma=90.00
Space group Cm (No. 8)
Symmetry-distinct sites (fractional):
Li (0.0000, 0.0000, 0.0000) (multiplicity 2)
Li (0.0050, 0.0000, 0.6110) (multiplicity 2)
Li (0.0110, 0.0000, 0.3172) (multiplicity 2)
Li (0.3273, 0.3270, 0.1547) (multiplicity 4)
Li (0.3324, 0.3335, 0.4495) (multiplicity 4)
Li (0.3481, 0.0000, 0.1537) (multiplicity 2)
Li (0.4934, 0.1611, 0.3110) (multiplicity 4)
Li (0.4957, 0.1635, 0.6068) (multiplicity 4)
Fe (0.3318, 0.0000, 0.8057) (multiplicity 2)
Fe (0.3321, 0.3333, 0.8059) (multiplicity 4)
O (0.4983, 0.1665, 0.7938) (multiplicity 4)
O (0.4982, 0.5000, 0.7833) (multiplicity 2)
F (0.0009, 0.3322, 0.1528) (multiplicity 4)
F (0.0191, 0.3128, 0.4705) (multiplicity 4)
F (0.3009, 0.0000, 0.9458) (multiplicity 2)
F (0.3285, 0.0000, 0.3002) (multiplicity 2)
F (0.3288, 0.3293, 0.6473) (multiplicity 4)
F (0.3357, 0.3363, 0.3065) (multiplicity 4)
F (0.3390, 0.0000, 0.6471) (multiplicity 2)
F (0.3499, 0.3494, 0.9461) (multiplicity 4)
F (0.4575, 0.5000, 0.4739) (multiplicity 2)
F (0.4974, 0.5000, 0.1374) (multiplicity 2)

Values from the calculation:
Its formation energy is -2.804 eV/atom. Its crystal system is monoclinic. The energy above the most stable polymorph in this dataset comes out at 0.000 eV per atom. The value obtained for the electronic total energy is -5.111 eV per atom.

---

(4)
# VH8C2NO3

A geometry-optimized VH8C2NO3 structure (PBE with a Hubbard U, the Materials Project).

Unit cell a=7.5535 b=11.0160 c=14.5148 alpha=90.12 beta=100.30 gamma=91.60
Space group P-1 (No. 2)
Symmetry-distinct sites (fractional):
V (0.1418, 0.0971, 0.3064) (multiplicity 2)
V (0.1827, 0.4128, 0.3249) (multiplicity 2)
V (0.3095, 0.5978, 0.1675) (multiplicity 2)
V (0.3373, 0.9119, 0.1740) (multiplicity 2)
H (0.0166, 0.8447, 0.0097) (multiplicity 2)
H (0.0253, 0.6905, 0.3737) (multiplicity 2)
H (0.0546, 0.1606, 0.6507) (multiplicity 2)
H (0.0855, 0.2321, 0.5450) (multiplicity 2)
H (0.0886, 0.0152, 0.8670) (multiplicity 2)
H (0.1114, 0.2932, 0.0196) (multiplicity 2)
H (0.1162, 0.2251, 0.8512) (multiplicity 2)
H (0.1349, 0.5465, 0.8468) (multiplicity 2)
H (0.1535, 0.7520, 0.8918) (multiplicity 2)
H (0.1724, 0.5473, 0.9665) (multiplicity 2)
H (0.1834, 0.4836, 0.6614) (multiplicity 2)
H (0.1854, 0.7530, 0.5503) (multiplicity 2)
H (0.2037, 0.1508, 0.0585) (multiplicity 2)
H (0.2564, 0.4361, 0.5612) (multiplicity 2)
H (0.2558, 0.9390, 0.6230) (multiplicity 2)
H (0.2744, 0.0074, 0.9529) (multiplicity 2)
H (0.2770, 0.3088, 0.7441) (multiplicity 2)
H (0.2946, 0.9610, 0.5104) (multiplicity 2)
H (0.2968, 0.0399, 0.8402) (multiplicity 2)
H (0.3168, 0.6965, 0.7623) (multiplicity 2)
H (0.3348, 0.2277, 0.9207) (multiplicity 2)
H (0.3406, 0.5164, 0.9063) (multiplicity 2)
H (0.3501, 0.7274, 0.9758) (multiplicity 2)
H (0.3606, 0.7926, 0.4148) (multiplicity 2)
H (0.3783, 0.2537, 0.6531) (multiplicity 2)
H (0.3960, 0.7416, 0.6261) (multiplicity 2)
H (0.4084, 0.4672, 0.6613) (multiplicity 2)
H (0.4075, 0.6484, 0.4667) (multiplicity 2)
H (0.4366, 0.2277, 0.5022) (multiplicity 2)
H (0.4473, 0.8137, 0.8285) (multiplicity 2)
H (0.4701, 0.9452, 0.5982) (multiplicity 2)
H (0.4902, 0.3403, 0.1537) (multiplicity 2)
C (0.0841, 0.2480, 0.6198) (multiplicity 2)
C (0.1195, 0.1972, 0.0005) (multiplicity 2)
C (0.2001, 0.1848, 0.9125) (multiplicity 2)
C (0.2631, 0.3039, 0.6677) (multiplicity 2)
C (0.2787, 0.7015, 0.9057) (multiplicity 2)
C (0.3280, 0.7815, 0.5605) (multiplicity 2)
C (0.3951, 0.7201, 0.8314) (multiplicity 2)
C (0.4198, 0.7468, 0.4797) (multiplicity 2)
N (0.2163, 0.0524, 0.8914) (multiplicity 2)
N (0.2273, 0.5691, 0.9072) (multiplicity 2)
N (0.2802, 0.4322, 0.6351) (multiplicity 2)
N (0.3374, 0.9165, 0.5744) (multiplicity 2)
O (0.0286, 0.5441, 0.7193) (multiplicity 2)
O (0.0736, 0.9128, 0.6842) (multiplicity 2)
O (0.1337, 0.5444, 0.0912) (multiplicity 2)
O (0.1601, 0.0119, 0.2000) (multiplicity 2)
O (0.2122, 0.2551, 0.2956) (multiplicity 2)
O (0.2221, 0.4321, 0.4406) (multiplicity 2)
O (0.2715, 0.0353, 0.4008) (multiplicity 2)
O (0.2755, 0.7554, 0.1972) (multiplicity 2)
O (0.3468, 0.5071, 0.2764) (multiplicity 2)
O (0.3494, 0.9294, 0.0610) (multiplicity 2)
O (0.4615, 0.0498, 0.7624) (multiplicity 2)
O (0.4946, 0.5873, 0.1197) (multiplicity 2)

Values from the calculation:
Its formation energy is -0.839 eV/atom. Its crystal system is triclinic. The energy above the most stable polymorph in this dataset comes out at 0.000 eV per atom. The value obtained for the electronic total energy is -5.779 eV per atom.

---

(5)
# Mg2Nb2WO8

A geometry-optimized Mg2Nb2WO8 structure (PBE with a Hubbard U, the Materials Project).

Unit cell a=5.3261 b=5.9425 c=10.1135 alpha=104.25 beta=91.84 gamma=91.74
Space group P-1 (No. 2)
Symmetry-distinct sites (fractional):
Mg (0.2289, 0.0785, 0.4458) (multiplicity 2)
Mg (0.2605, 0.6378, 0.5403) (multiplicity 2)
Nb (0.2781, 0.2488, 0.7504) (multiplicity 2)
Nb (0.2814, 0.4832, 0.2322) (multiplicity 2)
W (0.2426, 0.8585, 0.0029) (multiplicity 2)
O (0.0723, 0.4212, 0.6363) (multiplicity 2)
O (0.0890, 0.6941, 0.1407) (multiplicity 2)
O (0.1094, 0.1725, 0.1043) (multiplicity 2)
O (0.1309, 0.9549, 0.6157) (multiplicity 2)
O (0.3727, 0.3490, 0.3869) (multiplicity 2)
O (0.3963, 0.5865, 0.8757) (multiplicity 2)
O (0.4018, 0.0669, 0.8824) (multiplicity 2)
O (0.4324, 0.7978, 0.3819) (multiplicity 2)

Values from the calculation:
Its formation energy is -2.698 eV/atom. Its crystal system is triclinic. The value obtained for the electronic total energy is -7.776 eV per atom.

---

(6)
# MnSb2O4

A geometry-optimized MnSb2O4 structure (PBE with a Hubbard U, the Materials Project).

Unit cell a=8.8630 b=8.8630 c=6.1749 alpha=90.00 beta=90.00 gamma=90.00
Space group P4_2/mbc (No. 135)
Symmetry-distinct sites (fractional):
Mn (0.0000, 0.5000, 0.2500) (multiplicity 4)
Sb (0.1691, 0.1809, 0.0000) (multiplicity 8)
O (0.0997, 0.3591, 0.5000) (multiplicity 8)
O (0.1806, 0.6806, 0.2500) (multiplicity 8)

Values from the calculation:
Its formation energy is -1.852 eV/atom. Its crystal system is tetragonal. The value obtained for the electronic total energy is -6.537 eV per atom.